No. 1
The following is a DFT calculation (PBE-GGA) of a relaxed structure of Na3In2P3O12.

```
Na3In2P3O12
1.0
13.133 0.000 -8.850
0.000 9.131 0.000
-0.204 0.000 9.116
Na In P O
12 8 12 48
Direct
0.245 0.772 0.998
0.745 0.728 0.498
0.745 0.272 0.998
0.245 0.228 0.498
0.502 0.102 0.748
0.502 0.898 0.248
0.002 0.602 0.748
0.002 0.398 0.248
0.812 0.932 0.208
0.812 0.068 0.708
0.312 0.432 0.208
0.312 0.568 0.708
0.102 0.758 0.551
0.900 0.751 0.946
0.900 0.249 0.446
0.102 0.242 0.051
0.602 0.258 0.551
0.400 0.251 0.946
0.400 0.749 0.446
0.602 0.742 0.051
0.999 0.946 0.746
0.999 0.054 0.246
0.499 0.446 0.746
0.499 0.554 0.246
0.354 0.898 0.758
0.652 0.901 0.746
0.652 0.099 0.246
0.354 0.102 0.258
0.854 0.398 0.758
0.152 0.401 0.746
0.152 0.599 0.246
0.854 0.602 0.258
0.159 0.572 0.746
0.846 0.568 0.754
0.846 0.432 0.254
0.159 0.428 0.246
0.659 0.072 0.746
0.346 0.068 0.754
0.346 0.932 0.254
0.659 0.928 0.246
0.432 0.539 0.573
0.560 0.542 0.914
0.560 0.458 0.414
0.432 0.461 0.073
0.932 0.039 0.573
0.060 0.042 0.914
0.060 0.958 0.414
0.932 0.961 0.073
0.263 0.822 0.747
0.744 0.838 0.749
0.744 0.162 0.249
0.263 0.178 0.247
0.763 0.322 0.747
0.244 0.338 0.749
0.244 0.662 0.249
0.763 0.678 0.247
0.356 0.855 0.596
0.657 0.866 0.918
0.657 0.134 0.418
0.356 0.145 0.096
0.856 0.355 0.596
0.157 0.366 0.918
0.157 0.634 0.418
0.856 0.645 0.096
0.453 0.845 0.935
0.550 0.847 0.574
0.550 0.153 0.074
0.453 0.155 0.435
0.953 0.345 0.935
0.050 0.347 0.574
0.050 0.653 0.074
0.953 0.655 0.435
0.076 0.841 0.746
0.919 0.849 0.749
0.919 0.151 0.249
0.076 0.159 0.246
0.576 0.341 0.746
0.419 0.349 0.749
0.419 0.651 0.249
0.576 0.659 0.246
```

Values from the calculation:
Distance to the lowest polymorph of the same formula (meV/atom): 20
Calculated formation energy (eV per atom): -2.5279
Total magnetization (μB per formula unit): 0.0
Energy with MP2020 corrections (eV/atom): -6.78



No. 2
The following is a DFT calculation (PBE-GGA) of a relaxed structure of Na7In4P9O32.

```
Na7In4P9O32
1.0
14.492 0.000 0.000
0.000 14.492 0.000
0.000 0.000 6.709
Na In P O
14 8 18 64
Direct
0.000 0.000 0.000
0.000 0.500 0.134
0.000 0.500 0.634
0.091 0.741 0.864
0.241 0.591 0.364
0.259 0.091 0.136
0.409 0.241 0.636
0.500 0.000 0.366
0.500 0.000 0.866
0.500 0.500 0.500
0.591 0.759 0.636
0.741 0.909 0.136
0.759 0.409 0.364
0.909 0.259 0.864
0.121 0.196 0.612
0.196 0.879 0.388
0.304 0.379 0.112
0.379 0.696 0.888
0.621 0.304 0.888
0.696 0.621 0.112
0.804 0.121 0.388
0.879 0.804 0.612
0.000 0.000 0.500
0.060 0.695 0.379
0.105 0.248 0.126
0.195 0.560 0.879
0.248 0.895 0.874
0.252 0.395 0.626
0.305 0.060 0.621
0.395 0.748 0.374
0.440 0.195 0.121
0.500 0.500 0.000
0.560 0.805 0.121
0.605 0.252 0.374
0.695 0.940 0.621
0.748 0.605 0.626
0.752 0.105 0.874
0.805 0.440 0.879
0.895 0.752 0.126
0.940 0.305 0.379
0.002 0.723 0.178
0.013 0.740 0.560
0.058 0.062 0.643
0.062 0.942 0.357
0.066 0.591 0.385
0.091 0.566 0.885
0.092 0.195 0.932
0.139 0.183 0.290
0.156 0.737 0.339
0.158 0.338 0.110
0.162 0.342 0.610
0.183 0.861 0.710
0.195 0.908 0.068
0.223 0.502 0.678
0.237 0.656 0.839
0.240 0.513 0.060
0.260 0.013 0.440
0.263 0.156 0.661
0.277 0.002 0.822
0.305 0.408 0.432
0.317 0.361 0.790
0.338 0.842 0.890
0.342 0.838 0.390
0.344 0.237 0.161
0.361 0.683 0.210
0.408 0.695 0.568
0.409 0.066 0.615
0.434 0.091 0.115
0.438 0.442 0.143
0.442 0.562 0.857
0.487 0.240 0.940
0.498 0.223 0.322
0.502 0.777 0.322
0.513 0.760 0.940
0.558 0.438 0.857
0.562 0.558 0.143
0.566 0.909 0.115
0.591 0.934 0.615
0.592 0.305 0.568
0.639 0.317 0.210
0.656 0.763 0.161
0.658 0.162 0.390
0.662 0.158 0.890
0.683 0.639 0.790
0.695 0.592 0.432
0.723 0.998 0.822
0.737 0.844 0.661
0.740 0.987 0.440
0.760 0.487 0.060
0.763 0.344 0.839
0.777 0.498 0.678
0.805 0.092 0.068
0.817 0.139 0.710
0.838 0.658 0.610
0.842 0.662 0.110
0.844 0.263 0.339
0.861 0.817 0.290
0.908 0.805 0.932
0.909 0.434 0.885
0.934 0.409 0.385
0.938 0.058 0.357
0.942 0.938 0.643
0.987 0.260 0.560
0.998 0.277 0.178
```

Values from the calculation:
Calculated formation energy (eV per atom): -2.5855
Total magnetization (μB per formula unit): 0.0
Symmetry: P-42_1c, No. 114
Energy with MP2020 corrections (eV/atom): -6.96



No. 3
The following is a DFT calculation (PBE-GGA) of a relaxed structure of NaScInPS2O12.

```
NaScInPS2O12
1.0
8.841 0.000 0.000
4.419 7.669 0.000
0.001 0.025 23.340
Na Sc In P S O
6 6 6 6 12 72
Direct
0.000 0.000 0.000
0.003 0.998 0.500
0.330 0.342 0.166
0.344 0.326 0.666
0.666 0.683 0.833
0.684 0.665 0.333
0.005 0.006 0.351
0.008 0.005 0.149
0.323 0.346 0.314
0.344 0.336 0.019
0.662 0.691 0.685
0.693 0.661 0.185
0.006 0.005 0.649
0.006 0.005 0.851
0.341 0.338 0.517
0.345 0.325 0.816
0.677 0.681 0.983
0.683 0.675 0.482
0.007 0.292 0.250
0.049 0.633 0.416
0.298 0.005 0.750
0.635 0.045 0.917
0.674 0.969 0.583
0.972 0.671 0.084
0.008 0.707 0.750
0.047 0.339 0.917
0.301 0.713 0.250
0.339 0.045 0.415
0.342 0.629 0.917
0.381 0.963 0.084
0.383 0.671 0.583
0.633 0.339 0.415
0.674 0.380 0.083
0.711 0.304 0.749
0.714 0.007 0.250
0.965 0.380 0.584
0.028 0.815 0.408
0.032 0.182 0.196
0.034 0.178 0.913
0.037 0.784 0.698
0.119 0.370 0.864
0.139 0.517 0.364
0.140 0.365 0.580
0.153 0.505 0.076
0.154 0.318 0.968
0.156 0.555 0.471
0.168 0.533 0.756
0.171 0.313 0.256
0.182 0.027 0.408
0.184 0.805 0.913
0.188 0.034 0.695
0.192 0.793 0.198
0.204 0.986 0.091
0.207 0.829 0.588
0.218 0.819 0.301
0.220 0.973 0.804
0.311 0.146 0.469
0.317 0.170 0.753
0.318 0.545 0.968
0.321 0.537 0.256
0.364 0.138 0.077
0.366 0.129 0.365
0.366 0.512 0.580
0.366 0.529 0.864
0.451 0.859 0.031
0.461 0.695 0.530
0.475 0.697 0.243
0.481 0.840 0.743
0.490 0.648 0.634
0.490 0.879 0.135
0.496 0.868 0.420
0.501 0.646 0.923
0.506 0.151 0.579
0.516 0.361 0.077
0.525 0.361 0.365
0.531 0.121 0.862
0.534 0.325 0.755
0.540 0.164 0.257
0.544 0.158 0.970
0.562 0.307 0.469
0.647 0.489 0.134
0.648 0.499 0.421
0.650 0.879 0.636
0.652 0.862 0.921
0.694 0.850 0.243
0.696 0.476 0.742
0.702 0.455 0.030
0.704 0.862 0.529
0.787 0.194 0.698
0.796 0.030 0.198
0.810 0.183 0.409
0.815 0.227 0.802
0.819 0.029 0.913
0.822 0.977 0.301
0.830 0.204 0.090
0.839 0.986 0.589
0.843 0.477 0.244
0.853 0.686 0.743
0.862 0.706 0.029
0.863 0.452 0.531
0.866 0.646 0.419
0.868 0.493 0.922
0.879 0.486 0.635
0.882 0.644 0.136
0.976 0.814 0.802
0.983 0.206 0.303
0.987 0.202 0.588
0.990 0.834 0.093
```

Values from the calculation:
Calculated formation energy (eV per atom): -2.4645
Total magnetization (μB per formula unit): 0.0
Symmetry: P1, No. 1
Energy with MP2020 corrections (eV/atom): -7.10